Computed, not measured: crystalline NaMnCl3 at its relaxed geometry at the PBE level of DFT.

Output
ΔH_f (0 K): -8.69 eV per formula unit
space-group type: R-3

Unit cell a=7.364 b=7.364 c=7.364 alpha=53.64 beta=53.64 gamma=53.64
Element x y z (fractional)
Cl1 0.452 0.712 0.066
Cl2 0.712 0.066 0.452
Cl3 0.934 0.548 0.288
Cl4 0.288 0.934 0.548
Cl5 0.548 0.288 0.934
Cl6 0.066 0.452 0.712
Mn1 0.340 0.340 0.340
Mn2 0.660 0.660 0.660
Na1 0.855 0.855 0.855
Na2 0.145 0.145 0.145